TiAl6Mo | PBE | relaxed

The structure in CIF format:
```
data_TiAl6Mo
_chemical_formula_sum 'Ti1 Al6 Mo1'
_symmetry_space_group_name_H-M 'P 4/m m m'
_symmetry_Int_Tables_number 123
_symmetry_space_group_name_Hall '-P 4 2'
_cell_length_a 3.810
_cell_length_b 3.810
_cell_length_c 8.474
_cell_angle_alpha 90.00
_cell_angle_beta 90.00
_cell_angle_gamma 90.00
loop_
_atom_site_label
_atom_site_type_symbol
_atom_site_fract_x
_atom_site_fract_y
_atom_site_fract_z
Ti1 Ti 0.000 0.000 0.000
Al1 Al 0.000 0.000 0.500
Al2 Al 0.000 0.500 0.248
Al3 Al 0.500 0.500 0.000
Mo1 Mo 0.500 0.500 0.500
```

Results
- V: 123.03 Å³ per cell
- Energy of formation: -0.36 eV per atom